A plane-wave DFT calculation with GGA-PBE was carried out for a geometry-optimized Tb2Al4NiGe2 structure.

Unit cell a=10.165 b=10.165 c=10.165 alpha=156.44 beta=156.44 gamma=33.56
Atoms (fractional coordinates):
Tb: 0.186 0.186 0.000
Tb: 0.814 0.814 0.000
Al: 0.067 0.567 0.500
Al: 0.433 0.933 0.500
Al: 0.567 0.067 0.500
Al: 0.933 0.433 0.500
Ni: 0.000 0.000 0.000
Ge: 0.338 0.338 0.000
Ge: 0.662 0.662 0.000

Its total magnetization is 0.0 μB per formula unit. For the formation energy, the calculation gives -640 meV/atom. The space group is I4/mmm (139). For the total energy, the calculation gives -5.004 eV/atom.



A plane-wave DFT calculation with GGA-PBE was carried out for a geometry-optimized CeSe2 structure.

Unit cell a=7.268 b=4.565 c=13.975 alpha=90.00 beta=100.55 gamma=90.00
Atoms (fractional coordinates):
Ce: 0.055 0.000 0.198
Ce: 0.335 0.500 0.662
Ce: 0.665 0.500 0.338
Ce: 0.945 0.000 0.802
Se: 0.000 0.000 0.000
Se: 0.084 0.000 0.621
Se: 0.166 0.500 0.835
Se: 0.448 0.000 0.242
Se: 0.500 0.500 0.500
Se: 0.552 0.000 0.758
Se: 0.834 0.500 0.165
Se: 0.916 0.000 0.379

Its energy with MP2020 corrections is -5.98 eV/atom. Its total magnetization is 0.0 μB per formula unit. For the formation energy, the calculation gives -1668 meV/atom. The space group is P2/m (10). For the total energy, the calculation gives -5.661 eV/atom.



A plane-wave DFT calculation with GGA-PBE was carried out for a geometry-optimized Ce5Sb4As structure.

Unit cell a=15.963 b=15.963 c=15.963 alpha=163.96 beta=163.96 gamma=22.76
Atoms (fractional coordinates):
Ce: 0.000 0.000 0.000
Ce: 0.200 0.200 0.000
Ce: 0.404 0.404 0.000
Ce: 0.596 0.596 0.000
Ce: 0.800 0.800 0.000
Sb: 0.100 0.100 0.000
Sb: 0.301 0.301 0.000
Sb: 0.699 0.699 0.000
Sb: 0.900 0.900 0.000
As: 0.500 0.500 0.000

Its total magnetization is 4.2 μB per formula unit. For the formation energy, the calculation gives -1108 meV/atom. The space group is I4/mmm (139). For the total energy, the calculation gives -6.192 eV/atom.



A plane-wave DFT calculation with GGA-PBE was carried out for a geometry-optimized Pr8Ni18P11 structure.

Unit cell a=18.297 b=18.297 c=3.951 alpha=90.00 beta=90.00 gamma=120.00
Atoms (fractional coordinates):
Pr: 0.000 0.000 0.000
Pr: 0.001 0.219 0.000
Pr: 0.001 0.782 0.000
Pr: 0.046 0.523 0.500
Pr: 0.218 0.219 0.000
Pr: 0.218 0.999 0.000
Pr: 0.260 0.521 0.500
Pr: 0.260 0.740 0.500
Pr: 0.442 0.221 0.000
Pr: 0.477 0.523 0.500
Pr: 0.477 0.954 0.500
Pr: 0.479 0.740 0.500
Pr: 0.779 0.221 0.000
Pr: 0.779 0.558 0.000
Pr: 0.781 0.782 0.000
Pr: 0.781 0.999 0.000
Ni: 0.073 0.147 0.500
Ni: 0.073 0.927 0.500
Ni: 0.076 0.371 0.500
Ni: 0.076 0.705 0.500
Ni: 0.184 0.368 0.000
Ni: 0.184 0.816 0.000
Ni: 0.188 0.594 0.000
Ni: 0.291 0.146 0.500
Ni: 0.295 0.371 0.500
Ni: 0.295 0.924 0.500
Ni: 0.401 0.031 0.000
Ni: 0.401 0.370 0.000
Ni: 0.406 0.594 0.000
Ni: 0.406 0.812 0.000
Ni: 0.498 0.130 0.500
Ni: 0.498 0.369 0.500
Ni: 0.580 0.290 0.500
Ni: 0.617 0.234 0.000
Ni: 0.617 0.383 0.000
Ni: 0.629 0.705 0.500
Ni: 0.629 0.924 0.500
Ni: 0.630 0.031 0.000
Ni: 0.630 0.599 0.000
Ni: 0.631 0.130 0.500
Ni: 0.631 0.502 0.500
Ni: 0.632 0.816 0.000
Ni: 0.710 0.290 0.500
Ni: 0.710 0.420 0.500
Ni: 0.766 0.383 0.000
Ni: 0.853 0.927 0.500
Ni: 0.854 0.146 0.500
Ni: 0.854 0.709 0.500
Ni: 0.870 0.369 0.500
Ni: 0.870 0.502 0.500
Ni: 0.969 0.370 0.000
Ni: 0.969 0.599 0.000
P: 0.117 0.449 0.000
P: 0.117 0.668 0.000
P: 0.145 0.072 0.500
P: 0.146 0.292 0.500
P: 0.146 0.854 0.500
P: 0.332 0.449 0.000
P: 0.332 0.883 0.000
P: 0.333 0.667 0.000
P: 0.359 0.071 0.500
P: 0.359 0.288 0.500
P: 0.549 0.097 0.000
P: 0.549 0.451 0.000
P: 0.551 0.668 0.000
P: 0.551 0.883 0.000
P: 0.708 0.854 0.500
P: 0.712 0.071 0.500
P: 0.712 0.641 0.500
P: 0.903 0.451 0.000
P: 0.928 0.072 0.500
P: 0.928 0.855 0.500
P: 0.929 0.288 0.500
P: 0.929 0.641 0.500

Its total magnetization is 0.8 μB per formula unit. For the formation energy, the calculation gives -906 meV/atom. The space group is P-6m2 (187). For the total energy, the calculation gives -6.361 eV/atom.



- Which formula does entry 3 have?
  Ce5Sb4As